P | VASP calculation (GGA+U) on crystalline Li2MnSi2O6 at its relaxed geometry.

* space-group type: No. 5
* V: 11.43 A^3/atom

a b c (Å): 7.1800 7.1800 5.4101
angles (deg): 108.31 108.31 84.67
With the nearest neighbours (Å) after each atom.
Element x y z (fractional)
Li  0.0000  0.0000  0.0000  4 O 1.85-2.05
Li  0.2897  0.0412  0.8901  4 O 2.05-2.18
Li  0.5920  0.4080  0.5000  4 O 2.00-2.03
Li  0.9588  0.7103  0.1099  4 O 2.05-2.18
Mn  0.6740  0.3260  0.0000  4 O 2.09-2.12
Mn  0.9080  0.0920  0.5000  4 O 2.05-2.29
Si  0.0122  0.5777  0.5519  4 O 1.62-1.68
Si  0.1926  0.4040  0.0513  4 O 1.61-1.66
Si  0.4223  0.9878  0.4481  4 O 1.62-1.68
Si  0.5960  0.8074  0.9487  4 O 1.61-1.66
O  0.0436  0.2170  0.9093  1 Si 1.62
O  0.1398  0.5510  0.8551  2 Si 1.66-1.67
O  0.1427  0.5441  0.3315  2 Si 1.66-1.68
O  0.1926  0.0461  0.3839  1 Si 1.62
O  0.4149  0.3238  0.1081  1 Si 1.61
O  0.4490  0.8602  0.1449  2 Si 1.66-1.67
O  0.4559  0.8573  0.6685  2 Si 1.66-1.68
O  0.5937  0.1579  0.5892  1 Si 1.64
O  0.6762  0.5851  0.8919  1 Si 1.61
O  0.7830  0.9564  0.0907  1 Si 1.62
O  0.8421  0.4063  0.4108  1 Si 1.64
O  0.9539  0.8074  0.6161  1 Si 1.62

=====

Q | VASP calculation (GGA+U) on crystalline Li2MnSi2O6 at its relaxed geometry.

* space-group type: No. 15
* V: 12.48 A^3/atom

a b c (Å): 5.7629 5.7629 9.4095
angles (deg): 90.51 90.51 118.48
With the nearest neighbours (Å) after each atom.
Element x y z (fractional)
Li  0.0855  0.7894  0.6173  3 O 1.95-2.05
Li  0.2106  0.9145  0.8827  3 O 1.95-2.05
Li  0.7894  0.0855  0.1173  3 O 1.95-2.05
Li  0.9145  0.2106  0.3827  3 O 1.95-2.05
Mn  0.2456  0.7544  0.2500  4 O 2.07-2.12
Mn  0.7544  0.2456  0.7500  4 O 2.07-2.12
Si  0.3037  0.3645  0.6333  4 O 1.62-1.67
Si  0.3645  0.3037  0.1333  4 O 1.62-1.67
Si  0.6355  0.6963  0.8667  4 O 1.62-1.67
Si  0.6963  0.6355  0.3667  4 O 1.62-1.67
O  0.0019  0.7385  0.4142  1 Si 1.62
O  0.1326  0.3548  0.2025  1 Si 1.64
O  0.2615  0.9981  0.0858  1 Si 1.62
O  0.3548  0.1326  0.7025  1 Si 1.64
O  0.3865  0.6135  0.7500  2 Si 1.67
O  0.5000  0.5000  0.0000  2 Si 1.63
O  0.5000  0.5000  0.5000  2 Si 1.63
O  0.6135  0.3865  0.2500  2 Si 1.67
O  0.6452  0.8674  0.2975  1 Si 1.64
O  0.7385  0.0019  0.9142  1 Si 1.62
O  0.8674  0.6452  0.7975  1 Si 1.64
O  0.9981  0.2615  0.5858  1 Si 1.62

=====

Winner for stability: Q

=====

P | VASP calculation (GGA+U) on crystalline TiFeO4 at its relaxed geometry.

* space-group type: No. 115
* V: 11.70 A^3/atom

a b c (Å): 3.7928 3.7928 9.7563
angles (deg): 90.00 90.00 90.00
With the nearest neighbours (Å) after each atom.
Element x y z (fractional)
Ti  0.0000  0.5000  0.2500  6 O 1.95-2.01
Ti  0.5000  0.0000  0.7500  6 O 1.95-2.01
Fe  0.0000  0.0000  0.0000  6 O 1.94-1.98
Fe  0.5000  0.5000  0.5000  6 O 1.95-1.99
O  0.0000  0.0000  0.2034  2 Ti 1.95, 1 Fe 1.98
O  0.0000  0.0000  0.7966  2 Ti 1.95, 1 Fe 1.98
O  0.0000  0.5000  0.0439  2 Fe 1.94, 1 Ti 2.01
O  0.0000  0.5000  0.4556  2 Fe 1.95, 1 Ti 2.01
O  0.5000  0.0000  0.5444  2 Fe 1.95, 1 Ti 2.01
O  0.5000  0.0000  0.9561  2 Fe 1.94, 1 Ti 2.01
O  0.5000  0.5000  0.2955  2 Ti 1.95, 1 Fe 1.99
O  0.5000  0.5000  0.7045  2 Ti 1.95, 1 Fe 1.99

=====

Q | VASP calculation (GGA+U) on crystalline TiFeO4 at its relaxed geometry.

* space-group type: No. 31
* V: 11.67 A^3/atom

a b c (Å): 3.8220 7.5923 9.6520
angles (deg): 90.00 90.00 90.00
With the nearest neighbours (Å) after each atom.
Element x y z (fractional)
Ti  0.0000  0.1202  0.0000  6 O 1.93-1.98
Ti  0.0000  0.6287  0.9919  6 O 1.92-2.02
Ti  0.5000  0.3713  0.4919  6 O 1.92-2.02
Ti  0.5000  0.8798  0.5000  6 O 1.93-1.98
Fe  0.0000  0.3764  0.2390  6 O 1.86-1.97
Fe  0.0000  0.8740  0.2566  6 O 1.95-2.03
Fe  0.5000  0.1260  0.7566  6 O 1.95-2.03
Fe  0.5000  0.6236  0.7390  6 O 1.86-1.97
O  0.0000  0.1264  0.7952  2 Fe 1.95, 1 Ti 1.98
O  0.0000  0.1333  0.2050  2 Fe 1.87-2.03, 1 Ti 1.98
O  0.0000  0.3742  0.4429  1 Fe 1.97, 2 Ti 1.97
O  0.0000  0.3761  0.0395  1 Fe 1.93, 2 Ti 1.97-1.98
O  0.0000  0.6168  0.2009  2 Fe 1.86-2.03, 1 Ti 2.02
O  0.0000  0.6233  0.7869  2 Fe 1.97, 1 Ti 1.98
O  0.0000  0.8724  0.0461  2 Ti 1.92-1.93, 1 Fe 2.03
O  0.0000  0.8775  0.4589  1 Fe 1.95, 2 Ti 1.95
O  0.5000  0.1225  0.9589  1 Fe 1.95, 2 Ti 1.95
O  0.5000  0.1276  0.5461  2 Ti 1.92-1.93, 1 Fe 2.03
O  0.5000  0.3767  0.2869  2 Fe 1.97, 1 Ti 1.98
O  0.5000  0.3832  0.7009  2 Fe 1.86-2.03, 1 Ti 2.02
O  0.5000  0.6239  0.5395  1 Fe 1.93, 2 Ti 1.97-1.98
O  0.5000  0.6258  0.9429  1 Fe 1.97, 2 Ti 1.97
O  0.5000  0.8667  0.7050  2 Fe 1.87-2.03, 1 Ti 1.98
O  0.5000  0.8736  0.2952  2 Fe 1.95, 1 Ti 1.98

=====

Winner for stability: P

=====

P | VASP calculation (GGA+U) on crystalline Li3Fe9O5F11 at its relaxed geometry.

* space-group type: No. 1
* V: 12.30 A^3/atom

a b c (Å): 6.1617 6.2214 10.7301
angles (deg): 90.59 105.49 118.32
With the nearest neighbours (Å) after each atom.
Element x y z (fractional)
Li  0.0000  0.0000  0.0000  1 O 2.03, 5 F 2.07-2.23
Li  0.0052  0.4846  0.0014  6 F 2.02-2.23
Li  0.0331  0.2310  0.2306  4 F 1.96-2.19, 1 O 1.99
Fe  0.0270  0.5149  0.4965  4 O 2.09-2.15, 2 F 2.25-2.26
Fe  0.0279  0.7375  0.7420  2 O 2.01-2.05, 4 F 2.16-2.24
Fe  0.0328  0.0004  0.4957  3 O 2.06-2.12, 3 F 2.25-2.28
Fe  0.3947  0.4216  0.7818  1 O 1.98, 3 F 2.04-2.17
Fe  0.4243  0.9258  0.2865  4 F 1.99-2.06
Fe  0.5256  0.9905  0.0064  1 O 1.95, 2 F 2.13-2.17
Fe  0.5312  0.4966  0.4951  3 O 2.04-2.10, 1 F 2.25
Fe  0.6170  0.0967  0.6832  2 O 1.92, 1 F 2.11
Fe  0.6564  0.6090  0.1961  2 O 1.93-2.00, 2 F 2.12-2.14
O  0.2504  0.8669  0.6239  4 Fe 1.92-2.15
O  0.2532  0.3622  0.5884  4 Fe 1.98-2.09
O  0.7707  0.9057  0.1179  2 Fe 1.93-1.95, 2 Li 1.99-2.03
O  0.7864  0.6493  0.3910  4 Fe 2.00-2.12
O  0.7878  0.4028  0.6210  4 Fe 1.92-2.13
F  0.2159  0.8435  0.0965  2 Fe 2.01-2.18, 2 Li 2.05-2.07
F  0.2465  0.3716  0.1146  3 Li 1.96-2.19, 1 Fe 2.14
F  0.2532  0.5970  0.3521  2 Fe 2.04-2.26, 1 Li 2.19
F  0.2652  0.0999  0.8785  3 Fe 2.17-2.24, 1 Li 2.22
F  0.2681  0.6205  0.8778  3 Fe 2.13-2.24, 1 Li 2.23
F  0.2915  0.1265  0.3643  3 Fe 2.06-2.28, 1 Li 2.19
F  0.7379  0.3567  0.1124  2 Fe 2.12-2.13, 1 Li 2.14
F  0.7795  0.8747  0.6291  4 Fe 2.19-2.30
F  0.7828  0.1465  0.8884  2 Li 2.02-2.09, 2 Fe 2.11-2.17
F  0.7849  0.6359  0.8676  2 Fe 2.04-2.16, 2 Li 2.23
F  0.8049  0.1484  0.3623  1 Fe 1.99, 1 Li 2.15

=====

Q | VASP calculation (GGA+U) on crystalline Li3Fe9O5F11 at its relaxed geometry.

* space-group type: No. 1
* V: 11.79 A^3/atom

a b c (Å): 6.1434 6.2247 10.3300
angles (deg): 75.36 74.34 61.36
With the nearest neighbours (Å) after each atom.
Element x y z (fractional)
Li  0.0000  0.0000  0.0000  4 F 1.88-2.00
Li  0.1819  0.1866  0.4177  3 F 2.01-2.13, 3 O 2.01-2.13
Li  0.3814  0.3570  0.8505  4 F 1.89-1.93
Fe  0.1820  0.6828  0.4200  4 O 2.09-2.19, 2 F 2.26-2.30
Fe  0.4255  0.4351  0.1739  3 F 2.10-2.17, 3 O 2.12-2.25
Fe  0.4344  0.9108  0.6752  3 F 2.05-2.17, 2 O 2.05-2.19
Fe  0.4592  0.9303  0.1685  3 F 2.05-2.18, 2 O 2.05-2.29
Fe  0.6730  0.7084  0.4137  5 O 2.10-2.21
Fe  0.6766  0.1742  0.4141  3 O 2.01-2.26, 2 F 2.17-2.19
Fe  0.9179  0.4433  0.6846  4 F 1.99-2.17, 1 O 2.22
Fe  0.9347  0.4571  0.1682  3 F 2.04-2.17, 2 O 2.07-2.23
Fe  0.9510  0.9123  0.6775  4 F 2.07-2.25, 2 O 2.12-2.14
O  0.0479  0.5437  0.3112  4 Fe 2.07-2.25, 1 Li 2.08
O  0.2973  0.8336  0.5410  4 Fe 2.05-2.20, 1 Li 2.13
O  0.5235  0.0860  0.2982  1 Li 2.01, 4 Fe 2.01-2.21
O  0.5579  0.5530  0.3021  6 Fe 2.10-2.29
O  0.8092  0.8058  0.5496  6 Fe 2.14-2.26
F  0.0575  0.0682  0.3014  1 Li 2.01, 1 Fe 2.17
F  0.0609  0.0721  0.7966  1 Li 2.00, 3 Fe 2.16-2.17
F  0.0715  0.5610  0.7894  1 Li 1.89, 2 Fe 2.05-2.07
F  0.2775  0.3055  0.5552  1 Li 2.08, 3 Fe 2.14-2.31
F  0.3087  0.2953  0.0468  1 Li 1.93, 1 Fe 2.16
F  0.3142  0.7961  0.0689  1 Li 1.94, 2 Fe 2.05-2.10
F  0.5677  0.5477  0.7881  1 Li 1.91, 2 Fe 1.99-2.13
F  0.5704  0.0500  0.7778  1 Li 1.92, 2 Fe 2.05-2.12
F  0.8103  0.3125  0.0641  1 Li 1.91, 1 Fe 2.04
F  0.8178  0.8107  0.0517  1 Li 1.88, 2 Fe 2.08-2.10
F  0.8212  0.2832  0.5452  1 Li 2.13, 3 Fe 2.19-2.27

=====

Winner for stability: Q

=====

P | VASP calculation (GGA+U) on crystalline Li2MnBO4 at its relaxed geometry.

* space-group type: No. 62
* V: 9.57 A^3/atom

a b c (Å): 10.2336 6.0210 4.9700
angles (deg): 90.00 90.00 90.00
With the nearest neighbours (Å) after each atom.
Element x y z (fractional)
Li  0.1756  0.0072  0.2379  3 O 1.89-1.98
Li  0.1756  0.4928  0.2379  3 O 1.89-1.98
Li  0.3244  0.5072  0.7379  3 O 1.89-1.98
Li  0.3244  0.9928  0.7379  3 O 1.89-1.98
Li  0.6756  0.0072  0.2621  3 O 1.89-1.98
Li  0.6756  0.4928  0.2621  3 O 1.89-1.98
Li  0.8244  0.5072  0.7621  3 O 1.89-1.98
Li  0.8244  0.9928  0.7621  3 O 1.89-1.98
Mn  0.0668  0.7500  0.8303  4 O 1.93-1.94
Mn  0.4332  0.2500  0.3303  4 O 1.93-1.94
Mn  0.5668  0.7500  0.6697  4 O 1.93-1.94
Mn  0.9332  0.2500  0.1697  4 O 1.93-1.94
B  0.0720  0.2500  0.7031  4 O 1.46-1.51
B  0.4280  0.7500  0.2031  4 O 1.46-1.51
B  0.5720  0.2500  0.7969  4 O 1.46-1.51
B  0.9280  0.7500  0.2969  4 O 1.46-1.51
O  0.0693  0.7500  0.2204  1 B 1.50
O  0.0821  0.2500  0.4093  1 B 1.46
O  0.1383  0.0480  0.8208  1 B 1.51
O  0.1383  0.4520  0.8208  1 B 1.51
O  0.3617  0.5480  0.3208  1 B 1.51
O  0.3617  0.9520  0.3208  1 B 1.51
O  0.4179  0.7500  0.9093  1 B 1.46
O  0.4307  0.2500  0.7204  1 B 1.50
O  0.5693  0.7500  0.2796  1 B 1.50
O  0.5821  0.2500  0.0907  1 B 1.46
O  0.6383  0.0480  0.6792  1 B 1.51
O  0.6383  0.4520  0.6792  1 B 1.51
O  0.8617  0.5480  0.1792  1 B 1.51
O  0.8617  0.9520  0.1792  1 B 1.51
O  0.9179  0.7500  0.5907  1 B 1.46
O  0.9307  0.2500  0.7796  1 B 1.50

=====

Q | VASP calculation (GGA+U) on crystalline Li2MnBO4 at its relaxed geometry.

* space-group type: No. 14
* V: 11.25 A^3/atom

a b c (Å): 6.6619 5.1635 10.5062
angles (deg): 90.00 94.77 90.00
With the nearest neighbours (Å) after each atom.
Element x y z (fractional)
Li  0.0968  0.1538  0.2924  4 O 1.95-2.12
Li  0.0968  0.3462  0.7924  4 O 1.95-2.12
Li  0.2087  0.1730  0.5687  4 O 1.97-2.03
Li  0.2087  0.3270  0.0687  4 O 1.97-2.03
Li  0.7913  0.6730  0.9313  4 O 1.97-2.03
Li  0.7913  0.8270  0.4313  4 O 1.97-2.03
Li  0.9032  0.6538  0.2076  4 O 1.95-2.12
Li  0.9032  0.8462  0.7076  4 O 1.95-2.12
Mn  0.4927  0.6529  0.6535  4 O 1.86-2.03
Mn  0.4927  0.8471  0.1535  4 O 1.86-2.03
Mn  0.5073  0.1529  0.8465  4 O 1.86-2.03
Mn  0.5073  0.3471  0.3465  4 O 1.86-2.03
B  0.1887  0.6760  0.4379  3 O 1.35-1.41
B  0.1887  0.8240  0.9379  3 O 1.35-1.41
B  0.8113  0.1760  0.0621  3 O 1.35-1.41
B  0.8113  0.3240  0.5621  3 O 1.35-1.41
O  0.0541  0.6946  0.8577  1 B 1.35
O  0.0541  0.8054  0.3577  1 B 1.35
O  0.2399  0.0850  0.9198  1 B 1.41
O  0.2399  0.4150  0.4198  1 B 1.41
O  0.2818  0.6934  0.0444  1 B 1.41
O  0.2818  0.8066  0.5444  1 B 1.41
O  0.3764  0.1478  0.2104  2 Mn 1.86-1.91, 1 Li 2.01
O  0.3764  0.3522  0.7104  2 Mn 1.86-1.91, 1 Li 2.01
O  0.6236  0.6478  0.2896  2 Mn 1.86-1.91, 1 Li 2.01
O  0.6236  0.8522  0.7896  2 Mn 1.86-1.91, 1 Li 2.01
O  0.7182  0.1934  0.4556  1 B 1.41
O  0.7182  0.3066  0.9556  1 B 1.41
O  0.7601  0.5850  0.5802  1 B 1.41
O  0.7601  0.9150  0.0802  1 B 1.41
O  0.9459  0.1946  0.6423  1 B 1.35
O  0.9459  0.3054  0.1423  1 B 1.35

=====

Winner for stability: Q

=====

P | VASP calculation (GGA+U) on crystalline LiMnBO4 at its relaxed geometry.

* space-group type: No. 62
* V: 8.47 A^3/atom

a b c (Å): 9.5200 5.5490 4.4877
angles (deg): 90.00 90.00 90.00
With the nearest neighbours (Å) after each atom.
Element x y z (fractional)
Li  0.0000  0.0000  0.0000  6 O 2.03-2.05
Li  0.0000  0.5000  0.0000  6 O 2.03-2.05
Li  0.5000  0.0000  0.5000  6 O 2.03-2.05
Li  0.5000  0.5000  0.5000  6 O 2.03-2.05
Mn  0.2285  0.2500  0.4849  6 O 1.90-1.99
Mn  0.2715  0.7500  0.9849  6 O 1.90-1.99
Mn  0.7285  0.2500  0.0151  6 O 1.90-1.99
Mn  0.7715  0.7500  0.5151  6 O 1.90-1.99
B  0.0913  0.7500  0.4355  4 O 1.42-1.56
B  0.4087  0.2500  0.9355  4 O 1.42-1.56
B  0.5913  0.7500  0.0645  4 O 1.42-1.56
B  0.9087  0.2500  0.5645  4 O 1.42-1.56
O  0.0510  0.2500  0.6802  1 B 1.45
O  0.1034  0.7500  0.7500  1 B 1.42
O  0.1687  0.5411  0.2713  1 B 1.56
O  0.1687  0.9589  0.2713  1 B 1.56
O  0.3313  0.0411  0.7713  1 B 1.56
O  0.3313  0.4589  0.7713  1 B 1.56
O  0.3966  0.2500  0.2500  1 B 1.42
O  0.4490  0.7500  0.1802  1 B 1.45
O  0.5510  0.2500  0.8198  1 B 1.45
O  0.6034  0.7500  0.7500  1 B 1.42
O  0.6687  0.5411  0.2287  1 B 1.56
O  0.6687  0.9589  0.2287  1 B 1.56
O  0.8313  0.0411  0.7287  1 B 1.56
O  0.8313  0.4589  0.7287  1 B 1.56
O  0.8966  0.2500  0.2500  1 B 1.42
O  0.9490  0.7500  0.3198  1 B 1.45

=====

Q | VASP calculation (GGA+U) on crystalline LiMnBO4 at its relaxed geometry.

* space-group type: No. 62
* V: 9.14 A^3/atom

a b c (Å): 9.9725 5.8861 4.3589
angles (deg): 90.00 90.00 90.00
With the nearest neighbours (Å) after each atom.
Element x y z (fractional)
Li  0.2238  0.2500  0.0169  6 O 2.02-2.22
Li  0.2762  0.7500  0.5169  6 O 2.02-2.22
Li  0.7238  0.2500  0.4831  6 O 2.02-2.22
Li  0.7762  0.7500  0.9831  6 O 2.02-2.22
Mn  0.0000  0.0000  0.5000  6 O 1.91-1.99
Mn  0.0000  0.5000  0.5000  6 O 1.91-1.99
Mn  0.5000  0.0000  0.0000  6 O 1.91-1.99
Mn  0.5000  0.5000  0.0000  6 O 1.91-1.99
B  0.0874  0.7500  0.0885  4 O 1.46-1.61
B  0.4126  0.2500  0.5885  4 O 1.46-1.61
B  0.5874  0.7500  0.4115  4 O 1.46-1.61
B  0.9126  0.2500  0.9115  4 O 1.46-1.61
O  0.0578  0.2500  0.7510  1 B 1.61
O  0.0789  0.7500  0.7506  1 B 1.48
O  0.1444  0.5421  0.2162  1 B 1.46
O  0.1444  0.9579  0.2162  1 B 1.46
O  0.3556  0.0421  0.7162  1 B 1.46
O  0.3556  0.4579  0.7162  1 B 1.46
O  0.4211  0.2500  0.2506  1 B 1.48
O  0.4422  0.7500  0.2510  1 B 1.61
O  0.5578  0.2500  0.7490  1 B 1.61
O  0.5789  0.7500  0.7494  1 B 1.48
O  0.6444  0.5421  0.2838  1 B 1.46
O  0.6444  0.9579  0.2838  1 B 1.46
O  0.8556  0.0421  0.7838  1 B 1.46
O  0.8556  0.4579  0.7838  1 B 1.46
O  0.9211  0.2500  0.2494  1 B 1.48
O  0.9422  0.7500  0.2490  1 B 1.61

=====

Winner for stability: Q